{
  "formula": "Na6Ca4Hf4Si3S9O48",
  "functional": "PBE-GGA",
  "state": "relaxed",
  "lattice": [[18.2413, 0.0423, -0.0057], [-4.5420, 7.8599, 0.0056], [-0.0072, 0.0120, 23.4880]],
  "species": ["O", "O", "Na", "O", "O", "O", "O", "O", "O", "O", "O", "O", "O", "O", "O", "Na", "S", "Hf", "O", "O", "Ca", "O", "O", "Ca", "O", "Na", "O", "O", "O", "O", "S", "O", "O", "O", "O", "O", "O", "Hf", "Si", "Si", "O", "O", "Hf", "S", "Hf", "O", "O", "S", "O", "O", "O", "Ca", "O", "S", "O", "O", "O", "Na", "O", "O", "O", "O", "O", "O", "O", "O", "O", "O", "S", "O", "O", "O", "O", "O", "O", "Na", "O", "Hf", "Si", "Na", "Ca", "O", "O", "O", "O", "Ca", "O", "O", "O", "O", "Na", "O", "Na", "O", "O", "O", "Hf", "O", "O", "O", "O", "O", "O", "O", "O", "S", "O", "O", "S", "S", "O", "O", "O", "Hf", "O", "O", "Na", "O", "S", "O", "O", "Na", "O", "Na", "O", "O", "Na", "O", "Hf", "O", "Na", "Ca", "O", "O", "S", "O", "O", "O", "Hf", "O", "O", "Hf", "O", "Si", "O", "O", "Ca", "Na", "O", "O", "Na", "Hf", "O", "O", "O", "O", "S", "O", "S", "S", "O", "O", "O", "S", "Ca", "Ca", "O", "Na", "O", "O", "S", "O", "O", "Ca", "O", "O", "Si", "O", "S", "O", "O", "O", "S", "O", "Na", "O", "Ca", "O", "O", "O", "O", "O", "S", "Si", "S", "S", "O", "Si", "S", "O", "O", "O", "Ca", "Si", "O", "O", "O", "Si", "O", "O", "S", "O", "S", "Hf", "O", "S", "O", "O", "O", "Na", "S", "S"],
  "frac_coords": [[0.7337, 0.0876, 0.6427], [0.3202, 0.5401, 0.6340], [0.8153, 0.3290, 0.3433], [0.2630, 0.6724, 0.9701], [0.3586, 0.5560, 0.2504], [0.9994, 0.8168, 0.0955], [0.0897, 0.9941, 0.5913], [0.6414, 0.4503, 0.7457], [0.4997, 0.1817, 0.5947], [0.4986, 0.1876, 0.3020], [0.9342, 0.5665, 0.0379], [0.0780, 0.6780, 0.4639], [0.7292, 0.1548, 0.5307], [0.8133, 0.5337, 0.6333], [0.5946, 0.0080, 0.3010], [0.6796, 0.7107, 0.6648], [0.4990, 0.2829, 0.2505], [0.6705, 0.6742, 0.0152], [0.9970, 0.8092, 0.6982], [0.5166, 0.8328, 0.4101], [0.3311, 0.3404, 0.1772], [0.5583, 0.6517, 0.3599], [0.2322, 0.0982, 0.6303], [0.8267, 0.3228, 0.1808], [0.7739, 0.8527, 0.7486], [0.9919, 0.0121, 0.5045], [0.0870, 0.1689, 0.0908], [0.9329, 0.5153, 0.4289], [0.8502, 0.5418, 0.2414], [0.6055, 0.2014, 0.8035], [0.1445, 0.9987, 0.2497], [0.7728, 0.6975, 0.2436], [0.7507, 0.6186, 0.8629], [0.4335, 0.3508, 0.9311], [0.9356, 0.3450, 0.9228], [0.3152, 0.0935, 0.1346], [0.0159, 0.1999, 0.9141], [0.0036, 0.0167, 0.6474], [0.4863, 0.6281, 0.0858], [0.6737, 0.3741, 0.4167], [0.6689, 0.8830, 0.8663], [0.1049, 0.0092, 0.3032], [0.5064, 0.9979, 0.6454], [0.3610, 0.7195, 0.2510], [0.0077, 0.9972, 0.8577], [0.4121, 0.8168, 0.3010], [0.1700, 0.4554, 0.3655], [0.8319, 0.6322, 0.5811], [0.7586, 0.6611, 0.5694], [0.0475, 0.6339, 0.3624], [0.0901, 0.1952, 0.4204], [0.9944, 0.0014, 0.3551], [0.0753, 0.4624, 0.9660], [0.9993, 0.2958, 0.2470], [0.4110, 0.0151, 0.0888], [0.9213, 0.5416, 0.7503], [0.0019, 0.1969, 0.1960], [0.0025, 0.3749, 0.7398], [0.5887, 0.9926, 0.1976], [0.9074, 0.8419, 0.9090], [0.2579, 0.6651, 0.5759], [0.5862, 0.1825, 0.4118], [0.4090, 0.8223, 0.5931], [0.2342, 0.3804, 0.1436], [0.2103, 0.1252, 0.5287], [0.6669, 0.4846, 0.0746], [0.9930, 0.2025, 0.2989], [0.9066, 0.0006, 0.8014], [0.9968, 0.7127, 0.7498], [0.8437, 0.5438, 0.5314], [0.4273, 0.5322, 0.7417], [0.8177, 0.0969, 0.1356], [0.4352, 0.3024, 0.5367], [0.4220, 0.2971, 0.2512], [0.5891, 0.9844, 0.9210], [0.8386, 0.3652, 0.8372], [0.9030, 0.9911, 0.6973], [0.1628, 0.6640, 0.0141], [0.8159, 0.6671, 0.9153], [0.3337, 0.3082, 0.3406], [0.6729, 0.6761, 0.8143], [0.8501, 0.1270, 0.0339], [0.1666, 0.8477, 0.5725], [0.4083, 0.9938, 0.6956], [0.2645, 0.8425, 0.4717], [0.3384, 0.3368, 0.4870], [0.5785, 0.4781, 0.9654], [0.1416, 0.8330, 0.2456], [0.9098, 0.8024, 0.5857], [0.4190, 0.5243, 0.0355], [0.3018, 0.2952, 0.8325], [0.0585, 0.4657, 0.8623], [0.1767, 0.6464, 0.1612], [0.7235, 0.1480, 0.2473], [0.8240, 0.1386, 0.4288], [0.3251, 0.5115, 0.9299], [0.5016, 0.0149, 0.3616], [0.2296, 0.1428, 0.2445], [0.3481, 0.1443, 0.0329], [0.7316, 0.3640, 0.1326], [0.5171, 0.2110, 0.9195], [0.3241, 0.1526, 0.4229], [0.7411, 0.1339, 0.9242], [0.0894, 0.9959, 0.2003], [0.5749, 0.4845, 0.5769], [0.0208, 0.3694, 0.9144], [0.6890, 0.4733, 0.3578], [0.2699, 0.6398, 0.8670], [0.3318, 0.0312, 0.0821], [0.9887, 0.6412, 0.0873], [0.2605, 0.8552, 0.0709], [0.4047, 0.0180, 0.7981], [0.4941, 0.8234, 0.0904], [0.8259, 0.3189, 0.4899], [0.7621, 0.8528, 0.4686], [0.7652, 0.6877, 0.9727], [0.6622, 0.6609, 0.1615], [0.5819, 0.6656, 0.0698], [0.3340, 0.6443, 0.5835], [0.5786, 0.6916, 0.7450], [0.4357, 0.5273, 0.4210], [0.1740, 0.0267, 0.4159], [0.0169, 0.8223, 0.4182], [0.4974, 0.3681, 0.7496], [0.9935, 0.8015, 0.8020], [0.2314, 0.3077, 0.0319], [0.4992, 0.6164, 0.2403], [0.6652, 0.8312, 0.5689], [0.6636, 0.6585, 0.5161], [0.2553, 0.1596, 0.9309], [0.9977, 0.6296, 0.2508], [0.4942, 0.9862, 0.8537], [0.1583, 0.8441, 0.9730], [0.5897, 0.1832, 0.7004], [0.6655, 0.9647, 0.9186], [0.2537, 0.8846, 0.3604], [0.2419, 0.3491, 0.4233], [0.5758, 0.6909, 0.4635], [0.0070, 0.0154, 0.1444], [0.0876, 0.1829, 0.6940], [0.4532, 0.3661, 0.6390], [0.3264, 0.3349, 0.9882], [0.2774, 0.7030, 0.2495], [0.3129, 0.9653, 0.4154], [0.7688, 0.9013, 0.3661], [0.6594, 0.8568, 0.9697], [0.3173, 0.3263, 0.6855], [0.1617, 0.6454, 0.6718], [0.4065, 0.8187, 0.1976], [0.0864, 0.9869, 0.9133], [0.6764, 0.3300, 0.9108], [0.1702, 0.6668, 0.5175], [0.9916, 0.1592, 0.5878], [0.0739, 0.6992, 0.7491], [0.4945, 0.7843, 0.7988], [0.4601, 0.5406, 0.1475], [0.8125, 0.9650, 0.4205], [0.1896, 0.8992, 0.8601], [0.3137, 0.6630, 0.9207], [0.8327, 0.0222, 0.0846], [0.4075, 0.9780, 0.4088], [0.8248, 0.4990, 0.9237], [0.0755, 0.4641, 0.2449], [0.6781, 0.3334, 0.0825], [0.1717, 0.6689, 0.3149], [0.8327, 0.3225, 0.6776], [0.7553, 0.3475, 0.4288], [0.4920, 0.9717, 0.9983], [0.1608, 0.4636, 0.4686], [0.9242, 0.3175, 0.2426], [0.1775, 0.0221, 0.5809], [0.5906, 0.1841, 0.0940], [0.5016, 0.1894, 0.1989], [0.6756, 0.6610, 0.3166], [0.0748, 0.6646, 0.0779], [0.9177, 0.3114, 0.5333], [0.1835, 0.3442, 0.0854], [0.5040, 0.8098, 0.6958], [0.8561, 0.7111, 0.2459], [0.2350, 0.3062, 0.7534], [0.5743, 0.4542, 0.2497], [0.1659, 0.5022, 0.0710], [0.3579, 0.0030, 0.7456], [0.3974, 0.8183, 0.9229], [0.5057, 0.0119, 0.4997], [0.9078, 0.9967, 0.0946], [0.1740, 0.6823, 0.8136], [0.5855, 0.0046, 0.5898], [0.3551, 0.1625, 0.7402], [0.1435, 0.4701, 0.7490], [0.9585, 0.3766, 0.6453], [0.9532, 0.5404, 0.1399], [0.1664, 0.3685, 0.4185], [0.1730, 0.9705, 0.9172], [0.8594, 0.0011, 0.7506], [0.6384, 0.9979, 0.2499], [0.8577, 0.1615, 0.7503], [0.9852, 0.3371, 0.5844], [0.4881, 0.3356, 0.5870], [0.6567, 0.4711, 0.4706], [0.6412, 0.8383, 0.2493], [0.0876, 0.1759, 0.8069], [0.8391, 0.3413, 0.9852], [0.6822, 0.0228, 0.5851], [0.9028, 0.7880, 0.2983], [0.3518, 0.5770, 0.5320], [0.9062, 0.8165, 0.1956], [0.1443, 0.2938, 0.7525], [0.0796, 0.4929, 0.5664], [0.5477, 0.4616, 0.8638], [0.5010, 0.7036, 0.7470], [0.7103, 0.2937, 0.0311], [0.0174, 0.6595, 0.4180], [0.4967, 0.9908, 0.1430], [0.7297, 0.3172, 0.7445], [0.5173, 0.3745, 0.9188], [0.8961, 0.9765, 0.4217], [0.2744, 0.8521, 0.7433], [0.7572, 0.8490, 0.0772], [0.0030, 0.9942, 0.9913], [0.6448, 0.2909, 0.7499], [0.5214, 0.6714, 0.4131]],
  "volume_a3_per_cell": 3372,
  "delta_e_f_ev_per_atom": -2.676
}